1.
## Ba2NdMgNbO6 (PBE)

Data for a relaxed Ba2NdMgNbO6 crystal.

The symmetry is C2/m, No. 12. The corrected total energy (MP2020 scheme) comes out at -80.018 eV/f.u. As for the formation energy from the elements: -62.9 kcal/mol of atoms.

The structure in POSCAR format:
```
Ba2NdMgNbO6
1.0
5.608 -3.062 0.000
5.608 3.062 0.000
-3.586 0.000 5.265
Ba Nd Mg Nb O
2 1 1 1 6
direct
0.185 0.185 0.189 Ba
0.815 0.815 0.811 Ba
0.000 0.000 0.500 Nd
0.500 0.500 0.500 Mg
0.500 0.500 0.000 Nb
0.247 0.691 0.228 O
0.280 0.280 0.723 O
0.309 0.753 0.772 O
0.691 0.247 0.228 O
0.720 0.720 0.277 O
0.753 0.309 0.772 O
```

=====

2.
## BaMg14NbO16 (PBE)

Data for a relaxed BaMg14NbO16 crystal.

The symmetry is Pmmm, No. 47. The corrected total energy (MP2020 scheme) comes out at -200.148 eV/f.u. As for the formation energy from the elements: -62.4 kcal/mol of atoms. The energy relative to the lowest polymorph listed for this composition is 0.47 eV/f.u.

The structure in POSCAR format:
```
BaMg14NbO16
1.0
4.515 0.000 0.000
0.000 8.770 0.000
0.000 0.000 8.951
Ba Mg Nb O
1 14 1 16
direct
0.000 0.000 0.000 Ba
0.000 0.262 0.255 Mg
0.000 0.262 0.745 Mg
0.000 0.500 0.000 Mg
0.000 0.500 0.500 Mg
0.000 0.738 0.255 Mg
0.000 0.738 0.745 Mg
0.500 0.000 0.257 Mg
0.500 0.000 0.743 Mg
0.500 0.257 0.500 Mg
0.500 0.265 0.000 Mg
0.500 0.500 0.252 Mg
0.500 0.500 0.748 Mg
0.500 0.735 0.000 Mg
0.500 0.743 0.500 Mg
0.000 0.000 0.500 Nb
0.000 0.000 0.268 O
0.000 0.000 0.732 O
0.000 0.263 0.500 O
0.000 0.282 0.000 O
0.000 0.500 0.257 O
0.000 0.500 0.743 O
0.000 0.718 0.000 O
0.000 0.737 0.500 O
0.500 0.000 0.000 O
0.500 0.000 0.500 O
0.500 0.250 0.251 O
0.500 0.250 0.749 O
0.500 0.500 0.000 O
0.500 0.500 0.500 O
0.500 0.750 0.251 O
0.500 0.750 0.749 O
```

=====

3.
## BaMg14NbO16 (PBE)

Data for a relaxed BaMg14NbO16 crystal.

The symmetry is P4/mmm, No. 123. The corrected total energy (MP2020 scheme) comes out at -200.620 eV/f.u. As for the formation energy from the elements: -62.7 kcal/mol of atoms. The energy relative to the lowest polymorph listed for this composition is 0.00 eV/f.u.

The structure in POSCAR format:
```
BaMg14NbO16
1.0
8.790 0.000 0.000
0.000 8.790 0.000
0.000 0.000 4.531
Ba Mg Nb O
1 14 1 16
direct
0.000 0.000 0.000 Ba
0.000 0.264 0.500 Mg
0.000 0.500 0.000 Mg
0.000 0.736 0.500 Mg
0.247 0.500 0.500 Mg
0.256 0.256 0.000 Mg
0.256 0.744 0.000 Mg
0.264 0.000 0.500 Mg
0.500 0.000 0.000 Mg
0.500 0.247 0.500 Mg
0.500 0.753 0.500 Mg
0.736 0.000 0.500 Mg
0.744 0.256 0.000 Mg
0.744 0.744 0.000 Mg
0.753 0.500 0.500 Mg
0.500 0.500 0.000 Nb
0.000 0.000 0.500 O
0.000 0.280 0.000 O
0.000 0.500 0.500 O
0.000 0.720 0.000 O
0.244 0.500 0.000 O
0.251 0.251 0.500 O
0.251 0.749 0.500 O
0.280 0.000 0.000 O
0.500 0.000 0.500 O
0.500 0.244 0.000 O
0.500 0.500 0.500 O
0.500 0.756 0.000 O
0.720 0.000 0.000 O
0.749 0.251 0.500 O
0.749 0.749 0.500 O
0.756 0.500 0.000 O
```

=====

4.
## Ba3MgNb2O8 (PBE)

Data for a relaxed Ba3MgNb2O8 crystal.

The symmetry is R-3m, No. 166. The corrected total energy (MP2020 scheme) comes out at -105.835 eV/f.u. As for the formation energy from the elements: -63.7 kcal/mol of atoms.

The structure in POSCAR format:
```
Ba3MgNb2O8
1.0
3.023 1.745 7.705
-3.023 1.745 7.705
0.000 -3.490 7.705
Ba Mg Nb O
3 1 2 8
direct
0.000 0.000 0.000 Ba
0.198 0.198 0.198 Ba
0.802 0.802 0.802 Ba
0.500 0.500 0.500 Mg
0.389 0.389 0.389 Nb
0.611 0.611 0.611 Nb
0.255 0.715 0.715 O
0.285 0.285 0.745 O
0.285 0.745 0.285 O
0.308 0.308 0.308 O
0.692 0.692 0.692 O
0.715 0.255 0.715 O
0.715 0.715 0.255 O
0.745 0.285 0.285 O
```

=====

5.
## Ba3MgNb2O9 (PBE)

Data for a relaxed Ba3MgNb2O9 crystal.

The symmetry is P-3m1, No. 164. The corrected total energy (MP2020 scheme) comes out at -121.112 eV/f.u. As for the formation energy from the elements: -75.4 kcal/mol of atoms.

The structure in POSCAR format:
```
Ba3MgNb2O9
1.0
5.862 0.000 0.000
-2.931 5.077 0.000
0.000 0.000 7.195
Ba Mg Nb O
3 1 2 9
direct
0.000 0.000 0.000 Ba
0.333 0.667 0.668 Ba
0.667 0.333 0.332 Ba
0.000 0.000 0.500 Mg
0.333 0.667 0.179 Nb
0.667 0.333 0.821 Nb
0.000 0.500 0.000 O
0.171 0.343 0.326 O
0.171 0.829 0.326 O
0.343 0.171 0.674 O
0.500 0.000 0.000 O
0.500 0.500 0.000 O
0.657 0.829 0.326 O
0.829 0.171 0.674 O
0.829 0.657 0.674 O
```

=====

6.
## Ba2PrMgNbO6 (PBE)

Data for a relaxed Ba2PrMgNbO6 crystal.

The symmetry is P1, No. 1. The corrected total energy (MP2020 scheme) comes out at -81.353 eV/f.u. As for the formation energy from the elements: -65.7 kcal/mol of atoms. The energy relative to the lowest polymorph listed for this composition is 0.04 eV/f.u.

The structure in POSCAR format:
```
Ba2PrMgNbO6
1.0
5.699 0.000 0.000
-0.052 5.748 0.000
-1.827 -2.619 5.673
Ba Pr Mg Nb O
2 1 1 1 6
direct
0.000 0.000 0.000 Ba
0.301 0.397 0.780 Ba
0.700 0.230 0.466 Pr
0.766 0.614 0.211 Mg
0.308 0.708 0.399 Nb
0.014 0.937 0.424 O
0.021 0.455 0.388 O
0.464 0.393 0.214 O
0.465 0.828 0.184 O
0.532 0.985 0.659 O
0.859 0.491 0.901 O
```

=====

7.
## Ba2PrMgNbO6 (PBE)

Data for a relaxed Ba2PrMgNbO6 crystal.

The symmetry is P1, No. 1. The corrected total energy (MP2020 scheme) comes out at -80.234 eV/f.u. As for the formation energy from the elements: -63.4 kcal/mol of atoms. The energy relative to the lowest polymorph listed for this composition is 1.16 eV/f.u.

The structure in POSCAR format:
```
Ba2PrMgNbO6
1.0
5.834 0.000 0.000
2.913 5.058 0.000
0.011 3.357 6.094
Ba Pr Mg Nb O
2 1 1 1 6
direct
0.000 0.000 0.000 Ba
0.461 0.077 0.385 Ba
0.664 0.672 0.992 Pr
0.830 0.338 0.496 Mg
0.184 0.631 0.554 Nb
0.276 0.798 0.723 O
0.439 0.659 0.325 O
0.523 0.205 0.721 O
0.902 0.113 0.327 O
0.925 0.551 0.721 O
0.984 0.576 0.325 O
```

=====

8.
## Ba2PrMgNbO6 (PBE)

Data for a relaxed Ba2PrMgNbO6 crystal.

The symmetry is P1, No. 1. The corrected total energy (MP2020 scheme) comes out at -80.204 eV/f.u. As for the formation energy from the elements: -63.3 kcal/mol of atoms. The energy relative to the lowest polymorph listed for this composition is 1.19 eV/f.u.

The structure in POSCAR format:
```
Ba2PrMgNbO6
1.0
6.062 0.000 0.000
2.884 5.334 0.000
2.492 1.477 5.819
Ba Pr Mg Nb O
2 1 1 1 6
direct
0.000 0.000 0.000 Ba
0.381 0.378 0.784 Ba
0.193 0.191 0.390 Pr
0.691 0.689 0.392 Mg
0.690 0.689 0.892 Nb
0.447 0.883 0.654 O
0.474 0.471 0.095 O
0.496 0.931 0.132 O
0.884 0.446 0.653 O
0.905 0.905 0.692 O
0.933 0.493 0.131 O
```

=====

9.
## Ba2PrMgNbO6 (PBE)

Data for a relaxed Ba2PrMgNbO6 crystal.

The symmetry is R3, No. 146. The corrected total energy (MP2020 scheme) comes out at -81.390 eV/f.u. As for the formation energy from the elements: -65.8 kcal/mol of atoms. The energy relative to the lowest polymorph listed for this composition is 0.00 eV/f.u.

The structure in POSCAR format:
```
Ba2PrMgNbO6
1.0
3.003 1.734 6.172
-3.003 1.734 6.172
0.000 -3.468 6.172
Ba Pr Mg Nb O
2 1 1 1 6
direct
0.000 0.000 0.000 Ba
0.416 0.416 0.416 Ba
0.203 0.203 0.203 Pr
0.828 0.828 0.828 Mg
0.681 0.681 0.681 Nb
0.454 0.479 0.956 O
0.454 0.948 0.892 O
0.479 0.956 0.454 O
0.892 0.454 0.948 O
0.948 0.892 0.454 O
0.956 0.454 0.479 O
```

=====

10.
## Ba2SmMgNbO6 (PBE)

Data for a relaxed Ba2SmMgNbO6 crystal.

The symmetry is R3m, No. 160. The corrected total energy (MP2020 scheme) comes out at -80.265 eV/f.u. As for the formation energy from the elements: -63.6 kcal/mol of atoms. The energy relative to the lowest polymorph listed for this composition is 1.05 eV/f.u.

The structure in POSCAR format:
```
Ba2SmMgNbO6
1.0
3.018 1.742 5.843
-3.018 1.742 5.843
0.000 -3.485 5.843
Ba Sm Mg Nb O
2 1 1 1 6
direct
0.000 0.000 0.000 Ba
0.464 0.464 0.464 Ba
0.667 0.667 0.667 Sm
0.827 0.827 0.827 Mg
0.193 0.193 0.193 Nb
0.416 0.416 0.933 O
0.416 0.933 0.416 O
0.443 0.941 0.941 O
0.933 0.416 0.416 O
0.941 0.443 0.941 O
0.941 0.941 0.443 O
```

=====

11.
## Ba2SmMgNbO6 (PBE)

Data for a relaxed Ba2SmMgNbO6 crystal.

The symmetry is Immm, No. 71. The corrected total energy (MP2020 scheme) comes out at -80.300 eV/f.u. As for the formation energy from the elements: -63.6 kcal/mol of atoms. The energy relative to the lowest polymorph listed for this composition is 1.02 eV/f.u.

The structure in POSCAR format:
```
Ba2SmMgNbO6
1.0
-3.044 3.176 4.635
3.044 -3.176 4.635
3.044 3.176 -4.635
Ba Sm Mg Nb O
2 1 1 1 6
direct
0.185 0.185 0.000 Ba
0.815 0.815 0.000 Ba
0.500 0.000 0.500 Sm
0.500 0.500 0.000 Mg
0.000 0.500 0.500 Nb
0.226 0.726 0.500 O
0.253 0.274 0.527 O
0.253 0.726 0.979 O
0.747 0.274 0.021 O
0.747 0.726 0.473 O
0.774 0.274 0.500 O
```

=====

12.
## Ba2SmMgNbO6 (PBE)

Data for a relaxed Ba2SmMgNbO6 crystal.

The symmetry is R3m, No. 160. The corrected total energy (MP2020 scheme) comes out at -81.317 eV/f.u. As for the formation energy from the elements: -65.8 kcal/mol of atoms. The energy relative to the lowest polymorph listed for this composition is 0.00 eV/f.u.

The structure in POSCAR format:
```
Ba2SmMgNbO6
1.0
2.991 1.727 6.056
-2.991 1.727 6.056
0.000 -3.453 6.056
Ba Sm Mg Nb O
2 1 1 1 6
direct
0.000 0.000 0.000 Ba
0.419 0.419 0.419 Ba
0.215 0.215 0.215 Sm
0.590 0.590 0.590 Mg
0.739 0.739 0.739 Nb
0.466 0.956 0.956 O
0.496 0.496 0.967 O
0.496 0.967 0.496 O
0.956 0.466 0.956 O
0.956 0.956 0.466 O
0.967 0.496 0.496 O
```

=====

13.
## Ba3MgTaNbO9 (PBE)

Data for a relaxed Ba3MgTaNbO9 crystal.

The value obtained for the largest piezoelectric modulus is 0.53 C/m2. The symmetry is P3m1, No. 156. The corrected total energy (MP2020 scheme) comes out at -123.983 eV/f.u. As for the formation energy from the elements: -77.1 kcal/mol of atoms.

The structure in POSCAR format:
```
Ba3MgTaNbO9
1.0
5.852 0.000 0.000
-2.926 5.068 0.000
0.000 0.000 7.191
Ba Mg Ta Nb O
3 1 1 1 9
direct
0.000 0.000 0.000 Ba
0.333 0.667 0.664 Ba
0.667 0.333 0.334 Ba
0.000 0.000 0.498 Mg
0.333 0.667 0.176 Ta
0.667 0.333 0.822 Nb
0.002 0.501 0.001 O
0.172 0.343 0.324 O
0.172 0.828 0.324 O
0.342 0.171 0.675 O
0.499 0.501 0.001 O
0.499 0.998 0.001 O
0.657 0.828 0.324 O
0.829 0.171 0.675 O
0.829 0.658 0.675 O
```

=====

14.
## Ba2TmMgNbO6 (PBE)

Data for a relaxed Ba2TmMgNbO6 crystal.

The symmetry is Cm, No. 8. The corrected total energy (MP2020 scheme) comes out at -80.482 eV/f.u. As for the formation energy from the elements: -64.5 kcal/mol of atoms. The energy relative to the lowest polymorph listed for this composition is 0.54 eV/f.u.

The structure in POSCAR format:
```
Ba2TmMgNbO6
1.0
5.174 -2.988 0.000
5.174 2.988 0.000
-3.445 0.000 5.711
Ba Tm Mg Nb O
2 1 1 1 6
direct
0.000 0.000 0.000 Ba
0.537 0.537 0.611 Ba
0.207 0.207 0.621 Tm
0.367 0.367 0.100 Mg
0.735 0.735 0.205 Nb
0.474 0.965 0.403 O
0.477 0.477 0.938 O
0.478 0.983 0.939 O
0.965 0.474 0.403 O
0.965 0.965 0.405 O
0.983 0.478 0.939 O
```

=====

15.
## Ba2TmMgNbO6 (PBE)

Data for a relaxed Ba2TmMgNbO6 crystal.

The symmetry is Immm, No. 71. The corrected total energy (MP2020 scheme) comes out at -80.828 eV/f.u. As for the formation energy from the elements: -65.3 kcal/mol of atoms. The energy relative to the lowest polymorph listed for this composition is 0.19 eV/f.u.

The structure in POSCAR format:
```
Ba2TmMgNbO6
1.0
-2.970 3.125 4.608
2.970 -3.125 4.608
2.970 3.125 -4.608
Ba Tm Mg Nb O
2 1 1 1 6
direct
0.190 0.190 0.000 Ba
0.810 0.810 0.000 Ba
0.500 0.000 0.500 Tm
0.500 0.500 0.000 Mg
0.000 0.500 0.500 Nb
0.237 0.737 0.500 O
0.263 0.268 0.532 O
0.263 0.732 0.995 O
0.737 0.268 0.005 O
0.737 0.732 0.468 O
0.763 0.263 0.500 O
```

=====

16.
## Ba2TmMgNbO6 (PBE)

Data for a relaxed Ba2TmMgNbO6 crystal.

The symmetry is Cm, No. 8. The corrected total energy (MP2020 scheme) comes out at -81.021 eV/f.u. As for the formation energy from the elements: -65.7 kcal/mol of atoms. The energy relative to the lowest polymorph listed for this composition is 0.00 eV/f.u.

The structure in POSCAR format:
```
Ba2TmMgNbO6
1.0
5.150 -2.973 0.000
5.150 2.973 0.000
-3.437 0.000 5.820
Ba Tm Mg Nb O
2 1 1 1 6
direct
0.000 0.000 0.000 Ba
0.575 0.575 0.726 Ba
0.779 0.779 0.337 Tm
0.407 0.407 0.219 Mg
0.252 0.252 0.757 Nb
0.027 0.503 0.032 O
0.028 0.523 0.580 O
0.029 0.029 0.579 O
0.503 0.027 0.032 O
0.504 0.504 0.033 O
0.523 0.028 0.580 O
```

=====

17.
## BaMg6Ni (PBE)

Data for a relaxed BaMg6Ni crystal.

As for the formation energy from the elements: 2.3 kcal/mol of atoms. The energy relative to the lowest polymorph listed for this composition is 0.02 eV/f.u.

The structure in POSCAR format:
```
BaMg6Ni
1.0
5.002 0.000 0.000
0.000 6.024 0.000
0.000 0.000 13.689
Mg Ba Ni
12 2 2
direct
0.000 0.236 0.075 Mg
0.500 0.245 0.444 Mg
0.000 0.000 0.294 Mg
0.000 0.500 0.794 Mg
0.500 0.745 0.944 Mg
0.500 0.255 0.944 Mg
0.000 0.500 0.371 Mg
0.000 0.736 0.575 Mg
0.000 0.264 0.575 Mg
0.000 0.764 0.075 Mg
0.500 0.755 0.444 Mg
0.000 0.000 0.871 Mg
0.500 0.000 0.702 Ba
0.500 0.500 0.202 Ba
0.500 0.500 0.595 Ni
0.500 0.000 0.095 Ni
```

=====

18.
## BaMg6Ni (PBE)

Data for a relaxed BaMg6Ni crystal.

The symmetry is Amm2, No. 38. As for the formation energy from the elements: 2.2 kcal/mol of atoms. The energy relative to the lowest polymorph listed for this composition is 0.00 eV/f.u.

The structure in POSCAR format:
```
BaMg6Ni
1.0
4.507 0.000 0.000
0.000 3.131 7.408
0.000 -3.131 7.408
Ba Mg Ni
1 6 1
direct
0.000 0.000 0.000 Ba
0.000 0.409 0.409 Mg
0.000 0.445 0.962 Mg
0.000 0.962 0.445 Mg
0.500 0.073 0.580 Mg
0.500 0.580 0.073 Mg
0.500 0.589 0.589 Mg
0.500 0.178 0.178 Ni
```

=====

19.
## BaMg3O4 (PBE)

Data for a relaxed BaMg3O4 crystal.

The symmetry is Pm-3m, No. 221. The corrected total energy (MP2020 scheme) comes out at -45.158 eV/f.u. As for the formation energy from the elements: -53.8 kcal/mol of atoms.

The structure in POSCAR format:
```
BaMg3O4
1.0
4.841 0.000 0.000
0.000 4.841 0.000
0.000 0.000 4.841
Ba Mg O
1 3 4
direct
0.000 0.000 0.000 Ba
0.000 0.500 0.500 Mg
0.500 0.000 0.500 Mg
0.500 0.500 0.000 Mg
0.000 0.000 0.500 O
0.000 0.500 0.000 O
0.500 0.000 0.000 O
0.500 0.500 0.500 O
```